Record 1
The following is a DFT calculation (PBE+U) of a relaxed Co3TeO8 crystal.

Results
energy	-5.669	eV/atom
total magnetization	1.00	μB per formula unit
E (MP2020)	-6.536	eV/atom

```
data_Co3TeO8
_chemical_formula_sum 'Co6 Te2 O16'
_symmetry_space_group_name_H-M 'P 1'
_symmetry_Int_Tables_number 1
_cell_length_a 5.9014
_cell_length_b 5.9139
_cell_length_c 10.5930
_cell_angle_alpha 74.61
_cell_angle_beta 74.59
_cell_angle_gamma 61.82
loop_
_symmetry_equiv_pos_as_xyz
'x,y,z'
loop_
_atom_site_label
_atom_site_type_symbol
_atom_site_fract_x
_atom_site_fract_y
_atom_site_fract_z
_atom_site_occupancy
Co1 Co 0.0000 0.0000 0.0000 1
Co2 Co 0.0000 0.0000 0.5000 1
Co3 Co 0.0000 0.5000 0.0000 1
Co4 Co 0.5000 0.0000 0.5000 1
Co5 Co 0.5000 0.5000 0.0000 1
Co6 Co 0.5000 0.5000 0.5000 1
Te1 Te 0.0000 0.5000 0.5000 1
Te2 Te 0.5000 0.0000 0.0000 1
O1 O 0.1013 0.6571 0.6042 1
O2 O 0.1283 0.1364 0.5989 1
O3 O 0.1386 0.1190 0.1008 1
O4 O 0.1419 0.6482 0.0826 1
O5 O 0.3460 0.8964 0.8954 1
O6 O 0.3561 0.3888 0.4019 1
O7 O 0.3565 0.8612 0.4199 1
O8 O 0.3812 0.3574 0.9033 1
O9 O 0.6188 0.6426 0.0967 1
O10 O 0.6435 0.1388 0.5801 1
O11 O 0.6439 0.6112 0.5981 1
O12 O 0.6540 0.1036 0.1046 1
O13 O 0.8581 0.3518 0.9174 1
O14 O 0.8614 0.8810 0.8992 1
O15 O 0.8717 0.8636 0.4011 1
O16 O 0.8987 0.3429 0.3958 1
```

=====

Record 2
The following is a DFT calculation (PBE+U) of a relaxed Co2Te3O8 crystal.

Results
energy	-5.667	eV/atom
E (MP2020)	-6.342	eV/atom

```
data_Co2Te3O8
_chemical_formula_sum 'Co4 Te6 O16'
_symmetry_space_group_name_H-M 'P 1'
_symmetry_Int_Tables_number 1
_cell_length_a 6.9537
_cell_length_b 6.9537
_cell_length_c 11.6767
_cell_angle_alpha 98.33
_cell_angle_beta 98.33
_cell_angle_gamma 44.19
loop_
_symmetry_equiv_pos_as_xyz
'x,y,z'
loop_
_atom_site_label
_atom_site_type_symbol
_atom_site_fract_x
_atom_site_fract_y
_atom_site_fract_z
_atom_site_occupancy
Co1 Co 0.0284 0.4309 0.3494 1
Co2 Co 0.4309 0.0284 0.8494 1
Co3 Co 0.5691 0.9716 0.1506 1
Co4 Co 0.9716 0.5691 0.6506 1
Te1 Te 0.0595 0.6697 0.9469 1
Te2 Te 0.1530 0.8470 0.2500 1
Te3 Te 0.3303 0.9405 0.5531 1
Te4 Te 0.6697 0.0595 0.4469 1
Te5 Te 0.8470 0.1530 0.7500 1
Te6 Te 0.9405 0.3303 0.0531 1
O1 O 0.0110 0.1543 0.3575 1
O2 O 0.0115 0.7637 0.3631 1
O3 O 0.1543 0.0110 0.8575 1
O4 O 0.1770 0.4305 0.8083 1
O5 O 0.2363 0.9885 0.1369 1
O6 O 0.2543 0.2715 0.0311 1
O7 O 0.2715 0.2543 0.5311 1
O8 O 0.4305 0.1770 0.3083 1
O9 O 0.5695 0.8230 0.6917 1
O10 O 0.7285 0.7457 0.4689 1
O11 O 0.7457 0.7285 0.9689 1
O12 O 0.7637 0.0115 0.8631 1
O13 O 0.8230 0.5695 0.1917 1
O14 O 0.8457 0.9890 0.1425 1
O15 O 0.9885 0.2363 0.6369 1
O16 O 0.9890 0.8457 0.6425 1
```

=====

Record 3
The following is a DFT calculation (PBE+U) of a relaxed Co3TeO8 crystal.

Results
energy	-5.648	eV/atom
total magnetization	1.00	μB per formula unit
E (MP2020)	-6.516	eV/atom

```
data_Co3TeO8
_chemical_formula_sum 'Co6 Te2 O16'
_symmetry_space_group_name_H-M 'P 1'
_symmetry_Int_Tables_number 1
_cell_length_a 6.0088
_cell_length_b 6.0088
_cell_length_c 10.4244
_cell_angle_alpha 106.62
_cell_angle_beta 106.62
_cell_angle_gamma 59.96
loop_
_symmetry_equiv_pos_as_xyz
'x,y,z'
loop_
_atom_site_label
_atom_site_type_symbol
_atom_site_fract_x
_atom_site_fract_y
_atom_site_fract_z
_atom_site_occupancy
Co1 Co 0.0022 0.9978 0.5000 1
Co2 Co 0.2470 0.7526 0.2510 1
Co3 Co 0.4981 0.5071 0.0042 1
Co4 Co 0.5071 0.4981 0.5042 1
Co5 Co 0.7526 0.2470 0.7510 1
Co6 Co 0.9978 0.0022 0.0000 1
Te1 Te 0.2536 0.7443 0.7510 1
Te2 Te 0.7443 0.2536 0.2510 1
O1 O 0.0907 0.1161 0.3707 1
O2 O 0.1161 0.0907 0.8707 1
O3 O 0.1434 0.6832 0.3951 1
O4 O 0.1489 0.6388 0.8754 1
O5 O 0.3225 0.8579 0.1087 1
O6 O 0.3617 0.8517 0.6290 1
O7 O 0.3917 0.3996 0.6369 1
O8 O 0.3996 0.3917 0.1369 1
O9 O 0.5998 0.6027 0.3651 1
O10 O 0.6027 0.5998 0.8651 1
O11 O 0.6388 0.1489 0.3754 1
O12 O 0.6832 0.1434 0.8951 1
O13 O 0.8517 0.3617 0.1290 1
O14 O 0.8579 0.3225 0.6087 1
O15 O 0.8895 0.9064 0.1352 1
O16 O 0.9064 0.8895 0.6352 1
```

=====

Record 4
The following is a DFT calculation (PBE+U) of a relaxed Co3TeO8 crystal.

Results
energy	-5.667	eV/atom
total magnetization	1.00	μB per formula unit
E (MP2020)	-6.534	eV/atom

```
data_Co3TeO8
_chemical_formula_sum 'Co6 Te2 O16'
_symmetry_space_group_name_H-M 'P 1'
_symmetry_Int_Tables_number 1
_cell_length_a 6.0089
_cell_length_b 6.0548
_cell_length_c 8.4875
_cell_angle_alpha 88.47
_cell_angle_beta 89.98
_cell_angle_gamma 89.99
loop_
_symmetry_equiv_pos_as_xyz
'x,y,z'
loop_
_atom_site_label
_atom_site_type_symbol
_atom_site_fract_x
_atom_site_fract_y
_atom_site_fract_z
_atom_site_occupancy
Co1 Co 0.0000 0.0000 0.0000 1
Co2 Co 0.0000 0.5000 0.5000 1
Co3 Co 0.2441 0.2485 0.7493 1
Co4 Co 0.5000 0.0000 0.0000 1
Co5 Co 0.5000 0.5000 0.5000 1
Co6 Co 0.7559 0.7515 0.2507 1
Te1 Te 0.2540 0.7509 0.2506 1
Te2 Te 0.7460 0.2491 0.7494 1
O1 O 0.0152 0.5345 0.2573 1
O2 O 0.0160 0.9681 0.2422 1
O3 O 0.2555 0.1931 0.9754 1
O4 O 0.2563 0.3060 0.5244 1
O5 O 0.2677 0.7217 0.4833 1
O6 O 0.2696 0.7793 0.0173 1
O7 O 0.4934 0.5268 0.2745 1
O8 O 0.4940 0.9734 0.2265 1
O9 O 0.5060 0.0266 0.7735 1
O10 O 0.5066 0.4732 0.7255 1
O11 O 0.7304 0.2207 0.9827 1
O12 O 0.7323 0.2783 0.5167 1
O13 O 0.7437 0.6940 0.4756 1
O14 O 0.7445 0.8069 0.0246 1
O15 O 0.9840 0.0319 0.7578 1
O16 O 0.9848 0.4655 0.7427 1
```

=====

Q: What is the formula in the fourth record?
A: Co3TeO8